PBE-GGA LuNb6Cl18, relaxed; uncorrected energy = -5.3712 eV per atom; space-group type = R-3 (148); DFT formation energy = -1.8772 eV/atom
1.0
8.948 -4.752 0.000
8.948 4.752 0.000
6.425 0.000 7.834
Cl Nb Lu
18 6 1
Cartesian
12.521 -3.266 2.893
15.927 1.199 1.231
9.783 3.814 2.293
9.040 1.337 4.459
13.167 -0.693 0.700
14.539 -3.814 5.541
14.249 -0.606 6.580
15.281 -1.337 3.375
10.420 -2.614 0.316
11.433 -2.573 6.084
13.902 2.614 7.518
9.362 -1.944 3.459
8.395 -1.199 6.603
14.959 1.944 4.375
12.889 2.573 1.750
11.155 0.693 7.134
11.801 3.266 4.941
10.073 0.606 1.254
11.116 1.677 3.193
13.206 -1.677 4.641
13.821 0.519 2.732
12.930 1.158 5.497
10.501 -0.519 5.102
11.392 -1.158 2.337
0.000 0.000 0.000

PBE-GGA Rb3LuCl6, relaxed; magnetization = 0.0 μB/cell; uncorrected energy = -3.9413 eV per atom; space-group type = Fm-3m (225); DFT formation energy = -2.4543 eV/atom
1.0
-0.387 -7.311 3.347
-6.029 -1.817 5.015
-5.721 -5.179 -2.292
Rb Cl Lu
3 6 1
Cartesian
-9.102 -10.730 4.553
-3.034 -3.577 1.518
-6.068 -7.153 3.035
-9.174 -7.067 2.864
-5.878 -6.074 0.122
-2.962 -7.239 3.206
-6.047 -4.235 4.118
-6.089 -10.071 1.953
-6.258 -8.232 5.948
0.000 0.000 0.000

PBE-GGA Rb2LuCl5, relaxed; uncorrected energy = -4.1240 eV per atom; space-group type = Pnma (62); DFT formation energy = -2.5422 eV/atom
1.0
-3.551 6.147 1.903
-0.565 -3.090 8.924
12.998 6.553 3.091
Cl Lu Rb
20 4 8
Cartesian
3.114 5.028 3.598
-1.776 3.073 0.952
9.476 7.853 6.673
7.742 10.855 7.603
6.217 1.732 6.007
0.920 5.071 6.623
3.918 1.750 8.753
4.848 2.026 2.668
7.962 4.538 7.295
5.768 4.582 10.321
4.964 7.860 5.165
1.141 -1.246 6.315
4.034 7.584 11.250
-0.594 1.756 7.245
0.199 1.278 3.339
8.684 8.332 10.579
-0.571 2.917 10.798
4.441 4.805 6.959
9.454 6.693 3.120
0.000 0.000 0.000
-2.280 2.500 8.957
6.074 3.142 8.281
2.808 6.467 5.637
11.163 7.110 4.962
6.597 4.850 3.740
7.566 9.700 4.075
10.658 5.495 9.234
1.317 -0.090 9.843
2.587 1.953 5.616
6.295 7.657 8.302
2.286 4.760 10.179
-1.775 4.115 4.684

PBE-GGA Rb3LuCl6, relaxed; uncorrected energy = -3.9922 eV per atom; space-group type = C2/c (15); DFT formation energy = -2.5053 eV/atom
1.0
3.998 13.055 0.000
-3.998 13.055 0.000
0.000 2.146 12.702
Cl Rb Lu
24 12 4
Cartesian
-0.902 20.247 4.020
-2.195 14.697 0.857
-0.451 15.230 4.044
0.187 3.225 10.233
-0.451 11.953 2.307
0.438 9.415 5.327
0.451 16.304 10.395
-0.187 2.152 3.882
0.366 5.639 5.904
-0.366 6.712 12.255
-0.187 25.031 2.470
2.195 13.559 11.846
0.902 8.010 8.683
-2.195 12.486 5.494
0.187 26.104 8.821
0.366 21.544 0.447
-0.366 22.617 6.798
-0.902 6.937 2.332
-0.438 18.841 7.376
0.438 17.768 1.025
-0.438 10.488 11.678
2.195 15.770 7.208
0.451 13.026 8.658
0.902 21.320 10.371
2.504 10.553 10.143
-1.959 13.762 11.840
1.492 17.832 4.508
1.959 14.494 0.862
-2.504 9.480 3.792
1.492 9.352 1.843
-1.492 18.905 10.859
2.504 18.776 8.911
1.959 12.689 5.489
-2.504 17.703 2.559
-1.492 10.425 8.194
-1.959 15.567 7.214
2.269 14.665 9.527
-1.999 6.528 0.000
1.999 7.601 6.351
-2.269 13.592 3.176

PBE-GGA Mg2NCl, relaxed; uncorrected energy = -4.4889 eV per atom; DFT formation energy = -1.2960 eV/atom
1.0
-3.074 -1.253 0.115
2.579 -1.985 -0.664
1.999 -3.287 17.593
Mg N Cl
6 3 3
Cartesian
1.554 -2.554 13.673
1.582 -3.200 7.405
-0.078 -3.325 9.640
0.445 -0.732 3.920
2.473 -4.664 15.245
-0.969 -1.860 1.800
1.000 -1.643 8.797
1.028 -2.289 2.528
0.477 -4.236 14.517
2.027 -3.932 11.325
0.000 0.000 0.000
-0.523 -2.593 5.720

PBE-GGA MgSbS2NCl6, relaxed; magnetization = 0.0 μB/cell; uncorrected energy = -3.6365 eV per atom; space-group type = Immm (71); DFT formation energy = -0.9323 eV/atom; relative energy among the computed polymorphs = 100.8 kJ/mol of formula units
1.0
-6.178 -4.101 -0.146
0.761 -7.743 -3.110
-2.398 -3.355 7.294
S Cl N Sb Mg
2 6 1 1 1
Cartesian
-4.311 -7.039 3.348
-3.504 -8.160 0.690
-6.940 -12.767 3.278
-3.624 -4.257 0.696
-1.697 -4.329 4.985
0.060 -6.769 -0.801
-0.874 -2.432 0.761
-4.191 -10.942 3.343
-3.907 -7.599 2.019
0.000 0.000 0.000
-3.089 -2.050 -0.073

PBE-GGA MgSbS2NCl6, relaxed; magnetization = 0.0 μB/cell; uncorrected energy = -3.7314 eV per atom; space-group type = Imm2 (44); DFT formation energy = -1.0272 eV/atom; relative energy among the computed polymorphs = 0.0 kJ/mol of formula units
1.0
6.843 -0.001 3.947
2.917 6.638 2.845
0.064 -0.017 7.789
Cl S N Sb Mg
6 2 1 1 1
Cartesian
4.568 1.227 4.288
8.836 5.295 12.227
5.518 5.297 10.315
8.859 4.649 8.358
0.846 1.230 2.144
7.754 2.071 10.274
4.421 2.185 8.143
5.394 4.454 6.457
4.911 3.314 7.295
6.751 0.162 4.113
7.668 4.454 10.420

PBE-GGA MgSbS2NCl6, relaxed; magnetization = 0.0 μB/cell; uncorrected energy = -3.7314 eV per atom; space-group type = Cm (8); DFT formation energy = -1.0272 eV/atom; relative energy among the computed polymorphs = 0.0 kJ/mol of formula units
1.0
-7.081 -3.065 2.283
-5.237 -2.368 -5.214
-1.124 -7.667 0.430
Cl S N Mg Sb
6 2 1 1 1
Cartesian
-9.425 -9.166 0.910
-1.574 -2.247 -0.962
-11.913 -11.133 -1.769
-11.023 -7.107 -1.283
-7.965 -9.429 -3.047
-4.911 -3.599 0.200
-7.151 -5.558 -2.328
-5.748 -7.365 -0.402
-6.460 -6.467 -1.363
-3.180 -3.864 -1.310
-13.350 -12.970 -2.446

PBE-GGA Na6MgCl8, relaxed; uncorrected energy = -3.4422 eV per atom; space-group type = Fm-3m (225); DFT formation energy = -2.1480 eV/atom
1.0
3.122 1.512 7.233
-4.137 -1.847 6.620
2.408 -6.057 4.675
Na Cl Mg
6 8 1
Cartesian
1.204 -3.029 2.338
-0.508 -0.167 6.926
1.561 0.756 3.616
2.765 -2.273 5.954
-0.865 -3.952 5.647
-2.069 -0.923 3.310
-1.962 -2.454 7.809
1.638 -4.770 6.740
3.354 -3.938 10.718
0.348 -1.598 4.632
2.030 -0.607 8.147
-0.638 -5.785 10.381
1.044 -4.794 13.896
-0.245 -1.622 11.788
0.000 0.000 0.000

PBE-GGA MgNb2Te4Cl10O, relaxed; magnetization = 0.1 μB/cell; uncorrected energy = -4.2967 eV per atom; space-group type = P1 (1); DFT formation energy = -1.1232 eV/atom; relative energy among the computed polymorphs = 0.0 kJ/mol of formula units
1.0
7.139 -0.235 0.471
2.215 8.720 1.375
-0.132 -0.074 9.163
Cl Nb Te O Mg
10 2 4 1 1
Cartesian
3.819 1.588 1.958
3.397 4.189 8.529
3.175 6.805 6.402
2.740 1.664 5.309
5.842 4.247 2.527
2.565 4.477 3.325
5.530 6.953 8.910
6.091 1.593 4.511
6.698 6.511 5.759
6.644 3.836 8.025
4.258 3.026 4.193
4.994 5.523 6.987
8.061 6.914 1.829
0.997 1.412 9.147
3.189 7.858 2.782
5.941 0.383 8.051
4.681 4.189 5.591
5.056 2.955 9.728

PBE-GGA MgNb2Te4Cl10O, relaxed; magnetization = 0.9 μB/cell; uncorrected energy = -4.2915 eV per atom; space-group type = P1 (1); DFT formation energy = -1.1180 eV/atom; relative energy among the computed polymorphs = 9.1 kJ/mol of formula units
1.0
-6.419 -1.331 1.491
-0.436 -0.664 8.896
-1.944 9.331 2.286
Cl Nb Te Mg O
10 2 4 1 1
Cartesian
-3.387 4.643 3.657
-5.371 2.796 9.165
-2.559 4.475 8.865
-3.144 1.511 2.611
-6.278 2.684 3.848
-7.153 5.133 7.137
-5.411 6.140 9.942
-1.753 2.266 5.665
-4.057 6.667 6.857
-4.563 0.428 5.659
-4.000 2.573 4.957
-4.960 4.809 7.948
-6.075 -1.622 8.554
-2.532 8.849 4.010
-6.854 6.645 3.946
-1.907 0.431 8.534
-2.253 3.602 1.779
-4.494 3.629 6.379

PBE-GGA MgNb2Te4Cl10O, relaxed; magnetization = 0.6 μB/cell; uncorrected energy = -4.2730 eV per atom; space-group type = P1 (1); DFT formation energy = -1.0996 eV/atom; relative energy among the computed polymorphs = 41.1 kJ/mol of formula units
1.0
-0.702 5.123 -4.981
-0.014 -4.155 -7.401
-9.380 -1.567 -0.537
Cl Nb Te O Mg
10 2 4 1 1
Cartesian
-2.928 -1.793 -4.833
-5.355 0.001 -3.410
-8.039 -2.198 -9.362
-7.433 1.020 -8.214
-5.688 -3.188 -7.153
-4.556 2.609 -5.540
-2.112 1.302 -3.596
-2.075 0.711 -6.988
-4.857 -0.748 -9.523
-8.000 -1.160 -5.783
-6.245 -0.994 -7.693
-3.652 0.462 -5.301
-0.862 1.251 -10.419
-9.338 -1.942 -2.447
-1.664 -3.077 -7.626
-8.267 2.870 -5.254
-5.024 -0.238 -6.514
-7.715 0.243 -3.783